[1]
TiGaPt | meta-GGA r2SCAN | relaxed

For the calculated formation energy, the calculation gives -0.891 eV per atom. As for the total energy: -26.180 eV/atom. The calculation puts the calculated density at 11.38 Mg/m³.

Lattice parameters (Å, degrees): 4.3845 4.3845 5.4802 90.00 90.00 120.00
Space group P6_3/mmc (No. 194)
Inequivalent atoms, fractional coordinates:
Ti (0.0000, 0.0000, 0.0000) x2
Ga (0.3333, 0.6667, 0.2500) x2
Pt (0.3333, 0.6667, 0.7500) x2

---

[2]
ErFeCo | meta-GGA r2SCAN | relaxed

For the calculated formation energy, the calculation gives -0.151 eV per atom. As for the total energy: -20.676 eV/atom. The calculation puts the calculated density at 10.02 Mg/m³.

Lattice parameters (Å, degrees): 5.176 5.202 6.947 90.00 90.00 90.00
Space group Imma (No. 74)
Inequivalent atoms, fractional coordinates:
Er (0.000, 0.250, 0.129) x4
Fe (0.250, 0.250, 0.750) x4
Co (0.000, 0.000, 0.500) x4

---

[3]
TmHO2 | meta-GGA r2SCAN | relaxed

For the calculated formation energy, the calculation gives -2.919 eV per atom. As for the total energy: -15.549 eV/atom. The calculation puts the calculated density at 7.70 Mg/m³.

Lattice parameters (Å, degrees): 5.848 5.368 5.851 90.00 108.57 90.00
Space group P2_1/c (No. 14)
Inequivalent atoms, fractional coordinates:
Tm (0.234, 0.015, 0.247) x4
H (0.280, 0.529, 0.232) x4
O (0.132, 0.139, 0.875) x4
O (0.367, 0.633, 0.143) x4